Record 1
Compound: Sr5Re2O12
Source: the Materials Project database
Functional: GGA-PBE
Structure: optimized geometry

Summary:
Total moment ... 0.02 Bohr magnetons per cell

Lattice parameters (Å, degrees): 20.0102 20.0102 20.0102 29.20 29.20 29.20
Closest atoms and distances in Å follow each position.
Element x y z (fractional)
Sr (0.0100, 0.7219, 0.4157)  8 O 2.53-2.73
Sr (0.0349, 0.3295, 0.6968)  7 O 2.53-2.76
Sr (0.0843, 0.7781, 0.4900)  8 O 2.53-2.73
Sr (0.1038, 0.1038, 0.1038)  9 O 2.53-2.78
Sr (0.1705, 0.4651, 0.8032)  7 O 2.53-2.76
Sr (0.1968, 0.8295, 0.5349)  7 O 2.53-2.76
Sr (0.2219, 0.5100, 0.9157)  8 O 2.53-2.73
Sr (0.2500, 0.2500, 0.2500)  6 O 2.46
Sr (0.2781, 0.5843, 0.9900)  8 O 2.53-2.73
Sr (0.3032, 0.9651, 0.6705)  7 O 2.53-2.76
Sr (0.3295, 0.6968, 0.0349)  7 O 2.53-2.76
Sr (0.3962, 0.3962, 0.3962)  9 O 2.53-2.78
Sr (0.4157, 0.0100, 0.7219)  8 O 2.52-2.73
Sr (0.4651, 0.8032, 0.1705)  7 O 2.53-2.76
Sr (0.4900, 0.0843, 0.7781)  8 O 2.52-2.73
Sr (0.5100, 0.9157, 0.2219)  8 O 2.53-2.73
Sr (0.5349, 0.1968, 0.8295)  7 O 2.53-2.76
Sr (0.5843, 0.9900, 0.2781)  8 O 2.53-2.73
Sr (0.6038, 0.6038, 0.6038)  9 O 2.53-2.78
Sr (0.6705, 0.3032, 0.9651)  7 O 2.53-2.76
Sr (0.6968, 0.0349, 0.3295)  7 O 2.53-2.76
Sr (0.7219, 0.4157, 0.0100)  8 O 2.53-2.73
Sr (0.7500, 0.7500, 0.7500)  6 O 2.46
Sr (0.7781, 0.4900, 0.0843)  8 O 2.53-2.73
Sr (0.8032, 0.1705, 0.4651)  7 O 2.53-2.76
Sr (0.8295, 0.5349, 0.1968)  7 O 2.53-2.76
Sr (0.8962, 0.8962, 0.8962)  9 O 2.53-2.78
Sr (0.9157, 0.2219, 0.5100)  8 O 2.52-2.73
Sr (0.9651, 0.6705, 0.3032)  7 O 2.53-2.76
Sr (0.9900, 0.2781, 0.5843)  8 O 2.52-2.73
Re (0.0000, 0.0000, 0.0000)  6 O 1.91
Re (0.0821, 0.4179, 0.7500)  6 O 1.85-1.98
Re (0.1617, 0.1617, 0.1617)  6 O 1.87-1.95
Re (0.2500, 0.9179, 0.5821)  6 O 1.85-1.98
Re (0.3383, 0.3383, 0.3383)  6 O 1.87-1.95
Re (0.4179, 0.7500, 0.0821)  6 O 1.85-1.98
Re (0.5000, 0.5000, 0.5000)  6 O 1.91
Re (0.5821, 0.2500, 0.9179)  6 O 1.85-1.98
Re (0.6617, 0.6617, 0.6617)  6 O 1.87-1.95
Re (0.7500, 0.0821, 0.4179)  6 O 1.85-1.98
Re (0.8383, 0.8383, 0.8383)  6 O 1.87-1.95
Re (0.9179, 0.5821, 0.2500)  6 O 1.85-1.98
O (0.0011, 0.2317, 0.3035)  1 Re 1.87
O (0.0212, 0.8602, 0.1744)  1 Re 1.91
O (0.0232, 0.3150, 0.0852)  1 Re 1.95
O (0.0271, 0.4219, 0.2257)  1 Re 1.98
O (0.0361, 0.0529, 0.6628)  1 Re 1.89
O (0.0529, 0.6628, 0.0361)  1 Re 1.89
O (0.0781, 0.4729, 0.2743)  1 Re 1.98
O (0.0852, 0.0232, 0.3150)  1 Re 1.95
O (0.1398, 0.8256, 0.9788)  1 Re 1.91
O (0.1628, 0.5529, 0.5361)  1 Re 1.89
O (0.1744, 0.0212, 0.8602)  1 Re 1.91
O (0.1850, 0.4768, 0.4148)  1 Re 1.95
O (0.1965, 0.2683, 0.4989)  1 Re 1.87
O (0.1969, 0.2755, 0.7088)  1 Re 1.85
O (0.2088, 0.7755, 0.6969)  1 Re 1.85
O (0.2245, 0.3031, 0.7912)  1 Re 1.85
O (0.2257, 0.0271, 0.4219)  1 Re 1.98
O (0.2317, 0.3035, 0.0011)  1 Re 1.87
O (0.2683, 0.4989, 0.1965)  1 Re 1.87
O (0.2743, 0.0781, 0.4729)  1 Re 1.98
O (0.2755, 0.7088, 0.1969)  1 Re 1.85
O (0.2912, 0.8031, 0.7245)  1 Re 1.85
O (0.3035, 0.0011, 0.2317)  1 Re 1.87
O (0.3031, 0.7912, 0.2245)  1 Re 1.85
O (0.3150, 0.0852, 0.0232)  1 Re 1.95
O (0.3256, 0.6398, 0.4788)  1 Re 1.91
O (0.3372, 0.9639, 0.9471)  1 Re 1.89
O (0.3602, 0.5212, 0.6744)  1 Re 1.91
O (0.4148, 0.1850, 0.4768)  1 Re 1.95
O (0.4219, 0.2257, 0.0271)  1 Re 1.98
O (0.4471, 0.4639, 0.8372)  1 Re 1.89
O (0.4639, 0.8372, 0.4471)  1 Re 1.89
O (0.4729, 0.2743, 0.0781)  1 Re 1.98
O (0.4768, 0.4148, 0.1850)  1 Re 1.95
O (0.4788, 0.3256, 0.6398)  1 Re 1.91
O (0.4989, 0.1965, 0.2683)  1 Re 1.87
O (0.5011, 0.8035, 0.7317)  1 Re 1.87
O (0.5212, 0.6744, 0.3602)  1 Re 1.91
O (0.5232, 0.5852, 0.8150)  1 Re 1.95
O (0.5271, 0.7257, 0.9219)  1 Re 1.98
O (0.5361, 0.1628, 0.5529)  1 Re 1.89
O (0.5529, 0.5361, 0.1628)  1 Re 1.89
O (0.5781, 0.7743, 0.9729)  1 Re 1.98
O (0.5852, 0.8150, 0.5232)  1 Re 1.95
O (0.6398, 0.4788, 0.3256)  1 Re 1.91
O (0.6628, 0.0361, 0.0529)  1 Re 1.89
O (0.6744, 0.3602, 0.5212)  1 Re 1.91
O (0.6850, 0.9148, 0.9768)  1 Re 1.95
O (0.6969, 0.2088, 0.7755)  1 Re 1.85
O (0.6965, 0.9989, 0.7683)  1 Re 1.87
O (0.7088, 0.1969, 0.2755)  1 Re 1.85
O (0.7245, 0.2912, 0.8031)  1 Re 1.85
O (0.7257, 0.9219, 0.5271)  1 Re 1.98
O (0.7317, 0.5011, 0.8035)  1 Re 1.87
O (0.7683, 0.6965, 0.9989)  1 Re 1.87
O (0.7743, 0.9729, 0.5781)  1 Re 1.98
O (0.7755, 0.6969, 0.2088)  1 Re 1.85
O (0.7912, 0.2245, 0.3031)  1 Re 1.85
O (0.8031, 0.7245, 0.2912)  1 Re 1.85
O (0.8035, 0.7317, 0.5011)  1 Re 1.87
O (0.8150, 0.5232, 0.5852)  1 Re 1.95
O (0.8256, 0.9788, 0.1398)  1 Re 1.91
O (0.8372, 0.4471, 0.4639)  1 Re 1.89
O (0.8602, 0.1744, 0.0212)  1 Re 1.91
O (0.9148, 0.9768, 0.6850)  1 Re 1.95
O (0.9219, 0.5271, 0.7257)  1 Re 1.98
O (0.9471, 0.3372, 0.9639)  1 Re 1.89
O (0.9639, 0.9471, 0.3372)  1 Re 1.89
O (0.9729, 0.5781, 0.7743)  1 Re 1.98
O (0.9768, 0.6850, 0.9148)  1 Re 1.95
O (0.9788, 0.1398, 0.8256)  1 Re 1.91
O (0.9989, 0.7683, 0.6965)  1 Re 1.87

=====

Record 2
Compound: PmErZn2
Source: the Materials Project database
Functional: GGA-PBE
Structure: optimized geometry

Lattice parameters (Å, degrees): 5.1016 5.1016 5.1016 60.00 60.00 60.00
Closest atoms and distances in Å follow each position.
Element x y z (fractional)
Pm (0.0000, 0.0000, 0.0000)  8 Zn 3.12
Er (0.5000, 0.5000, 0.5000)  8 Zn 3.12
Zn (0.2500, 0.2500, 0.2500)  4 Er 3.12, 4 Pm 3.12
Zn (0.7500, 0.7500, 0.7500)  4 Er 3.12, 4 Pm 3.12

=====

Record 3
Compound: SrMg14Nb
Source: the Materials Project database
Functional: GGA-PBE
Structure: optimized geometry

Summary:
Total moment ... 1.28 Bohr magnetons per cell
Polymorph energy (0 for the lowest one) ... 3 meV per atom

Lattice parameters (Å, degrees): 10.3518 6.5265 6.5265 60.16 90.00 90.00
Closest atoms and distances in Å follow each position.
Element x y z (fractional)
Sr (0.0000, 0.0000, 0.0000)  10 Mg 3.26-3.33, 2 Nb 3.27
Mg (0.0000, 0.0040, 0.4977)  2 Nb 3.15-3.37, 8 Mg 3.16-3.31, 2 Sr 3.26-3.27
Mg (0.0000, 0.4977, 0.0040)  2 Nb 3.15-3.37, 8 Mg 3.16-3.31, 2 Sr 3.26-3.27
Mg (0.2406, 0.6607, 0.6607)  1 Nb 3.14, 11 Mg 3.16-3.36
Mg (0.2549, 0.1797, 0.6507)  9 Mg 3.08-3.37, 1 Nb 3.17, 1 Sr 3.30
Mg (0.2549, 0.6507, 0.1797)  9 Mg 3.08-3.37, 1 Nb 3.17, 1 Sr 3.30
Mg (0.2621, 0.1709, 0.1709)  11 Mg 3.10-3.37, 1 Sr 3.33
Mg (0.5000, 0.4995, 0.4995)  12 Mg 3.12-3.28
Mg (0.5000, 0.5018, 0.9960)  12 Mg 3.10-3.31
Mg (0.5000, 0.9960, 0.5018)  12 Mg 3.10-3.31
Mg (0.5000, 0.9980, 0.9980)  12 Mg 3.14-3.28
Mg (0.7379, 0.1709, 0.1709)  11 Mg 3.10-3.37, 1 Sr 3.33
Mg (0.7451, 0.1797, 0.6507)  9 Mg 3.08-3.37, 1 Nb 3.17, 1 Sr 3.30
Mg (0.7451, 0.6507, 0.1797)  9 Mg 3.08-3.37, 1 Nb 3.17, 1 Sr 3.30
Mg (0.7594, 0.6607, 0.6607)  1 Nb 3.14, 11 Mg 3.16-3.36
Nb (0.0000, 0.4908, 0.4908)  10 Mg 3.14-3.37, 2 Sr 3.27

=====

Record 4
Compound: NdGaNi
Source: the Materials Project database
Functional: GGA-PBE
Structure: optimized geometry

Lattice parameters (Å, degrees): 7.0893 4.3663 7.4846 90.00 90.00 90.00
Closest atoms and distances in Å follow each position.
Element x y z (fractional)
Nd (0.0218, 0.2500, 0.2014)  5 Ni 2.93-3.25, 6 Ga 3.05-3.19
Nd (0.4782, 0.7500, 0.7014)  5 Ni 2.93-3.25, 6 Ga 3.05-3.19
Nd (0.5218, 0.2500, 0.2986)  5 Ni 2.93-3.25, 6 Ga 3.05-3.19
Nd (0.9782, 0.7500, 0.7986)  5 Ni 2.93-3.25, 6 Ga 3.05-3.19
Ga (0.1826, 0.2500, 0.5793)  4 Ni 2.53-2.73
Ga (0.3174, 0.7500, 0.0793)  4 Ni 2.53-2.73
Ga (0.6826, 0.2500, 0.9207)  4 Ni 2.53-2.73
Ga (0.8174, 0.7500, 0.4207)  4 Ni 2.53-2.73
Ni (0.2026, 0.7500, 0.4096)  4 Ga 2.53-2.73
Ni (0.2974, 0.2500, 0.9096)  4 Ga 2.53-2.73
Ni (0.7026, 0.7500, 0.0904)  4 Ga 2.53-2.73
Ni (0.7974, 0.2500, 0.5904)  4 Ga 2.53-2.73

=====

Record 5
Compound: BaIn2Te4
Source: the Materials Project database
Functional: GGA-PBE
Structure: optimized geometry

Lattice parameters (Å, degrees): 7.1542 7.1542 12.4251 90.00 90.00 119.12
Closest atoms and distances in Å follow each position.
Element x y z (fractional)
Ba (0.0000, 0.0000, 0.2500)  8 Te 3.64-3.69
Ba (0.0000, 0.0000, 0.7500)  8 Te 3.64-3.69
In (0.2596, 0.7378, 0.0000)  4 Te 2.83-2.87
In (0.2622, 0.7403, 0.5000)  4 Te 2.83-2.87
In (0.7378, 0.2596, 0.5000)  4 Te 2.83-2.87
In (0.7403, 0.2622, 0.0000)  4 Te 2.83-2.87
Te (0.0000, 0.5000, 0.1775)  2 In 2.85
Te (0.0000, 0.5000, 0.8225)  2 In 2.85
Te (0.1588, 0.3044, 0.5000)  2 In 2.83-2.87
Te (0.3044, 0.1588, 0.0000)  2 In 2.83-2.87
Te (0.5000, 0.0000, 0.3225)  2 In 2.85
Te (0.5000, 0.0000, 0.6775)  2 In 2.85
Te (0.6956, 0.8412, 0.0000)  2 In 2.83-2.87
Te (0.8412, 0.6956, 0.5000)  2 In 2.83-2.87

=====

| no. | calculated volume (Å³/cell) | formation enthalpy at 0 K (eV per atom) |
| --- | --- | --- |
| 1 | 1687 | -2.88 |
| 2 | 94 | -0.33 |
| 3 | 382 | 0.14 |
| 4 | 232 | -0.56 |
| 5 | 556 | -1.02 |